(1)
A geometry-optimized Cs6OsN4 structure, computed with GGA-PBE.

a = 9.686 Å, b = 9.686 Å, c = 11.117 Å
α = 90.00°, β = 90.00°, γ = 90.00°
Atoms (fractional coordinates):
Cs (0.007, 0.507, 0.250)
Cs (0.007, 0.993, 0.250)
Cs (0.250, 0.250, 0.045)
Cs (0.250, 0.250, 0.545)
Cs (0.493, 0.507, 0.250)
Cs (0.493, 0.993, 0.250)
Cs (0.507, 0.007, 0.750)
Cs (0.507, 0.493, 0.750)
Cs (0.750, 0.750, 0.455)
Cs (0.750, 0.750, 0.955)
Cs (0.993, 0.007, 0.750)
Cs (0.993, 0.493, 0.750)
Os (0.250, 0.750, 0.750)
Os (0.750, 0.250, 0.250)
N (0.092, 0.750, 0.839)
N (0.250, 0.592, 0.661)
N (0.250, 0.908, 0.661)
N (0.408, 0.750, 0.839)
N (0.592, 0.250, 0.161)
N (0.750, 0.092, 0.339)
N (0.750, 0.408, 0.339)
N (0.908, 0.250, 0.161)

(2)
A geometry-optimized Li2FeS2 structure, computed with GGA-PBE.

a = 6.713 Å, b = 6.383 Å, c = 8.119 Å
α = 90.00°, β = 92.83°, γ = 90.00°
Atoms (fractional coordinates):
Li (0.031, 0.010, 0.181)
Li (0.031, 0.490, 0.681)
Li (0.385, 0.144, 0.771)
Li (0.385, 0.356, 0.271)
Li (0.615, 0.644, 0.729)
Li (0.615, 0.856, 0.229)
Li (0.969, 0.510, 0.319)
Li (0.969, 0.990, 0.819)
Fe (0.151, 0.618, 0.008)
Fe (0.151, 0.882, 0.508)
Fe (0.849, 0.118, 0.492)
Fe (0.849, 0.382, 0.992)
S (0.188, 0.239, 0.502)
S (0.188, 0.261, 0.002)
S (0.276, 0.733, 0.266)
S (0.276, 0.767, 0.766)
S (0.724, 0.233, 0.234)
S (0.724, 0.267, 0.734)
S (0.812, 0.739, 0.998)
S (0.812, 0.761, 0.498)

Polymorph energy (0 for the lowest one) (meV per atom): 24.6

(3)
A geometry-optimized MgSb2O4 structure, computed with GGA-PBE.

a = 6.853 Å, b = 6.853 Å, c = 10.442 Å
α = 109.75°, β = 109.75°, γ = 27.77°
Atoms (fractional coordinates):
Mg (0.243, 0.243, 0.247)
Mg (0.757, 0.757, 0.753)
Sb (0.119, 0.119, 0.897)
Sb (0.381, 0.381, 0.589)
Sb (0.619, 0.619, 0.411)
Sb (0.881, 0.881, 0.103)
O (0.094, 0.094, 0.277)
O (0.236, 0.236, 0.606)
O (0.270, 0.270, 0.893)
O (0.399, 0.399, 0.234)
O (0.601, 0.601, 0.766)
O (0.730, 0.730, 0.107)
O (0.764, 0.764, 0.394)
O (0.906, 0.906, 0.723)

Polymorph energy (0 for the lowest one) (meV per atom): 105.3

Values for size of the total moment, μB/atom, ordered as above
0.00, 0.80, 0.00
Values for total energy after the MP2020 corrections, eV for the cell shown, ordered as above
-99.46, -103.54, -88.21
Values for energy relative to the elements, eV/atom, ordered as above
0.020, -1.065, -2.065